Entry 1:
meta-GGA r2SCAN Dy2Si3Pd, optimized geometry; volume = 19.3 A^3/atom; theoretical density = 7.4 g/cm³; energy of formation = -966 meV/atom
1.0
-6.096 4.782 2.412
2.771 0.487 -7.611
-5.351 -5.656 -2.310
Dy Si Pd
8 12 4
direct
0.500 0.000 0.250
0.500 0.000 0.750
0.000 0.500 0.250
0.000 0.500 0.750
0.500 0.500 0.250
0.500 0.500 0.750
0.000 0.000 0.250
0.000 0.000 0.750
0.166 0.332 0.000
0.834 0.668 0.000
0.668 0.834 0.000
0.834 0.668 0.500
0.332 0.166 0.000
0.166 0.332 0.500
0.166 0.834 0.000
0.332 0.166 0.500
0.834 0.166 0.000
0.668 0.834 0.500
0.834 0.166 0.500
0.166 0.834 0.500
0.333 0.667 0.000
0.667 0.333 0.000
0.667 0.333 0.500
0.333 0.667 0.500

=====

Entry 2:
meta-GGA r2SCAN Sr4LaCl11, optimized geometry; volume = 26.9 A^3/atom; theoretical density = 3.4 g/cm³; energy of formation = -2638 meV/atom
1.0
-2.450 2.450 17.954
2.450 -2.450 17.954
2.450 2.450 -17.954
Sr La Cl
4 1 11
direct
0.103 0.103 0.000
0.897 0.897 0.000
0.299 0.299 0.000
0.701 0.701 0.000
0.500 0.500 0.000
0.152 0.652 0.500
0.348 0.848 0.500
0.750 0.250 0.500
0.555 0.055 0.500
0.945 0.445 0.500
0.055 0.555 0.500
0.250 0.750 0.500
0.652 0.152 0.500
0.445 0.945 0.500
0.848 0.348 0.500
0.000 0.000 0.000

=====

Entry 3:
meta-GGA r2SCAN GdYHg2, optimized geometry; volume = 25.8 A^3/atom; theoretical density = 10.4 g/cm³; energy of formation = -549 meV/atom
1.0
3.117 -3.872 -1.725
-1.735 -4.967 -0.012
-1.067 -2.403 -4.558
Gd Y Hg
1 1 2
direct
0.500 0.500 0.500
0.000 0.000 0.000
0.250 0.250 0.250
0.750 0.750 0.750

=====

Entry 4:
meta-GGA r2SCAN BaSe2O5, optimized geometry; volume = 16.5 A^3/atom; theoretical density = 4.7 g/cm³; energy of formation = -1584 meV/atom
1.0
-6.809 -8.016 5.257
0.469 -2.770 -3.617
7.961 -4.273 3.795
Ba Se O
4 8 20
direct
0.670 0.244 0.037
0.170 0.756 0.463
0.330 0.756 0.963
0.830 0.244 0.537
0.606 0.813 0.742
0.106 0.187 0.758
0.394 0.187 0.258
0.894 0.813 0.242
0.580 0.732 0.355
0.080 0.268 0.145
0.420 0.268 0.645
0.920 0.732 0.855
0.559 0.757 0.903
0.059 0.243 0.597
0.441 0.243 0.097
0.941 0.757 0.403
0.656 0.155 0.741
0.156 0.845 0.759
0.344 0.845 0.259
0.844 0.155 0.241
0.536 0.118 0.343
0.036 0.882 0.157
0.464 0.882 0.657
0.964 0.118 0.843
0.860 0.713 0.701
0.360 0.287 0.799
0.140 0.287 0.299
0.640 0.713 0.201
0.810 0.766 0.961
0.310 0.234 0.539
0.190 0.234 0.039
0.690 0.766 0.461